VASP calculation (PBE) on a relaxed Cs3O crystal.

Geometry as POSCAR:
```
Cs3O
1.0
8.820 0.000 0.000
-4.410 7.638 0.000
0.000 0.000 7.526
Cs O
6 2
Direct
0.000 0.250 0.250
0.000 0.750 0.750
0.250 0.000 0.250
0.250 0.250 0.750
0.750 0.000 0.750
0.750 0.750 0.250
0.000 0.000 0.000
0.000 0.000 0.500
```

Crystal system: hexagonal
SG: P6_3/mcm (193)
Uncorrected energy (eV per atom): -2.6650